[1]
# NiH12S2O9, relaxed, DFT PBE with a Hubbard U
# Energy: -4.131 eV/atom
data_NiH12S2O9
_cell_length_a 12.655
_cell_length_b 17.300
_cell_length_c 8.601
_cell_angle_alpha 90.00
_cell_angle_beta 90.00
_cell_angle_gamma 90.00
_symmetry_space_group_name_H-M 'P n m a'
_symmetry_Int_Tables_number 62
loop_
_symmetry_equiv_pos_as_xyz
'x,y,z'
'-x,-y,-z'
'-x+1/2,-y,z+1/2'
'x+1/2,y,-z+1/2'
'x+1/2,-y+1/2,-z+1/2'
'-x+1/2,y+1/2,z+1/2'
'-x,y+1/2,-z'
'x,-y+1/2,z'
loop_
_atom_site_label
_atom_site_type_symbol
_atom_site_fract_x
_atom_site_fract_y
_atom_site_fract_z
_atom_site_occupancy
Ni1 Ni 0.000 0.000 0.000 1
H1 H 0.066 0.056 0.327 1
H2 H 0.113 0.543 0.212 1
H3 H 0.152 0.228 0.622 1
H4 H 0.181 0.228 0.325 1
H5 H 0.192 0.154 0.022 1
H6 H 0.203 0.133 0.096 1
S1 S 0.071 0.750 0.510 1
S2 S 0.162 0.750 0.333 1
O1 O 0.029 0.714 0.983 1
O2 O 0.057 0.091 0.424 1
O3 O 0.074 0.002 0.178 1
O4 O 0.122 0.750 0.663 1
O5 O 0.125 0.063 0.531 1

[2]
# MgMn2O4, relaxed, DFT PBE with a Hubbard U
# ΔE to the lowest computed polymorph: 0.035 eV/atom
# Energy: -7.111 eV/atom
data_MgMn2O4
_cell_length_a 10.871
_cell_length_b 5.909
_cell_length_c 14.841
_cell_angle_alpha 90.00
_cell_angle_beta 94.12
_cell_angle_gamma 90.00
_symmetry_space_group_name_H-M 'C 1 m 1'
_symmetry_Int_Tables_number 8
loop_
_symmetry_equiv_pos_as_xyz
'x,y,z'
'x,-y,z'
'x+1/2,y+1/2,z'
'x+1/2,-y+1/2,z'
loop_
_atom_site_label
_atom_site_type_symbol
_atom_site_fract_x
_atom_site_fract_y
_atom_site_fract_z
_atom_site_occupancy
Mg1 Mg 0.000 0.000 0.000 1
Mg2 Mg 0.004 0.000 0.758 1
Mg3 Mg 0.011 0.000 0.380 1
Mg4 Mg 0.166 0.500 0.046 1
Mg5 Mg 0.176 0.500 0.671 1
Mg6 Mg 0.343 0.000 0.333 1
Mn1 Mn 0.002 0.500 0.881 1
Mn2 Mn 0.088 0.248 0.214 1
Mn3 Mn 0.176 0.000 0.549 1
Mn4 Mn 0.176 0.500 0.428 1
Mn5 Mn 0.249 0.252 0.882 1
Mn6 Mn 0.335 0.000 0.094 1
Mn7 Mn 0.339 0.500 0.215 1
Mn8 Mn 0.340 0.000 0.715 1
Mn9 Mn 0.428 0.248 0.546 1
O1 O 0.012 0.000 0.138 1
O2 O 0.022 0.500 0.139 1
O3 O 0.084 0.271 0.957 1
O4 O 0.091 0.227 0.471 1
O5 O 0.158 0.000 0.291 1
O6 O 0.163 0.500 0.290 1
O7 O 0.178 0.500 0.806 1
O8 O 0.182 0.000 0.804 1
O9 O 0.238 0.267 0.144 1
O10 O 0.264 0.227 0.628 1
O11 O 0.318 0.500 0.961 1
O12 O 0.327 0.000 0.955 1
O13 O 0.352 0.000 0.471 1
O14 O 0.361 0.500 0.468 1
O15 O 0.416 0.225 0.799 1
O16 O 0.430 0.270 0.287 1
O17 O 0.497 0.000 0.623 1
O18 O 0.499 0.500 0.622 1

| no. | total magnetization (μB/cell) | formation energy from the elements (eV/atom) |
| --- | --- | --- |
| 1 | 7.39 | -0.357 |
| 2 | 96.00 | -2.307 |